1.
The following is a PBE+U calculation of crystalline Mn8O13F3 at its relaxed geometry, from Materials Project.

Cell lengths 5.5228, 6.7029, 6.7486 Å; angles 96.07, 90.64, 90.31 degrees
With the nearest neighbours (Å) after each atom.
Space group P1 (No. 1)
Asymmetric unit:
Mn  0.0000  0.0000  0.0000 (multiplicity 1)  6 O 1.91-1.99
Mn  0.0043  0.4888  0.4933 (multiplicity 1)  5 O 1.89-2.01, 1 F 1.95
Mn  0.2632  0.7464  0.2526 (multiplicity 1)  4 O 1.86-1.94, 2 F 1.93-1.94
Mn  0.3180  0.2334  0.7499 (multiplicity 1)  5 O 1.91-1.97, 1 F 2.10
Mn  0.4994  0.2414  0.2527 (multiplicity 1)  4 O 1.97-1.99, 2 F 2.09
Mn  0.5044  0.7412  0.7518 (multiplicity 1)  6 O 1.93-2.07
Mn  0.7942  0.4974  0.0018 (multiplicity 1)  4 O 1.94-1.97, 2 F 2.07-2.13
Mn  0.8133  0.9914  0.5120 (multiplicity 1)  5 O 1.92-1.98, 1 F 2.13
O  0.0304  0.5392  0.2235 (multiplicity 1)  3 Mn 1.88-1.97
O  0.0311  0.9480  0.2813 (multiplicity 1)  3 Mn 1.86-1.98
O  0.0422  0.0473  0.7279 (multiplicity 1)  3 Mn 1.91-1.96
O  0.2488  0.7910  0.9738 (multiplicity 1)  3 Mn 1.94-2.07
O  0.2508  0.6963  0.5305 (multiplicity 1)  3 Mn 1.94-2.03
O  0.2606  0.1995  0.0293 (multiplicity 1)  3 Mn 1.95-1.99
O  0.2620  0.2883  0.4728 (multiplicity 1)  3 Mn 1.96-1.99
O  0.5336  0.4643  0.8049 (multiplicity 1)  3 Mn 1.93-1.95
O  0.5399  0.0176  0.6986 (multiplicity 1)  3 Mn 1.91-1.97
O  0.7556  0.7799  0.9553 (multiplicity 1)  3 Mn 1.94-1.99
O  0.7582  0.2174  0.0540 (multiplicity 1)  3 Mn 1.95-1.99
O  0.7621  0.7090  0.5504 (multiplicity 1)  3 Mn 1.96-2.01
O  0.7632  0.2697  0.4568 (multiplicity 1)  3 Mn 1.96-1.99
F  0.0416  0.4481  0.7734 (multiplicity 1)  3 Mn 1.95-2.10
F  0.5154  0.5472  0.2157 (multiplicity 1)  3 Mn 1.93-2.13
F  0.5267  0.9393  0.2984 (multiplicity 1)  3 Mn 1.94-2.13

Properties
Density = 4.71 g/cm³
Energy = -166.50 eV/cell

---

2.
The following is a PBE+U calculation of crystalline Mn3O5F at its relaxed geometry, from Materials Project.

Cell lengths 4.5438, 5.4415, 7.5643 Å; angles 86.31, 88.77, 88.70 degrees
With the nearest neighbours (Å) after each atom.
Space group P-1 (No. 2)
Asymmetric unit:
Mn  0.0000  0.0000  0.0000 (multiplicity 1)  4 O 1.95-1.97, 2 F 2.10
Mn  0.0126  0.3441  0.6689 (multiplicity 2)  5 O 1.90-1.99, 1 F 2.02
Mn  0.4828  0.8215  0.6592 (multiplicity 2)  5 O 1.90-1.95, 1 F 2.03
Mn  0.5000  0.5000  0.0000 (multiplicity 1)  6 O 1.95-2.00
O  0.1925  0.6289  0.5609 (multiplicity 2)  3 Mn 1.90-1.99
O  0.1941  0.2976  0.8961 (multiplicity 2)  3 Mn 1.92-2.00
O  0.3019  0.1275  0.5641 (multiplicity 2)  3 Mn 1.94
O  0.3058  0.4631  0.2327 (multiplicity 2)  3 Mn 1.93-1.95
O  0.3103  0.7975  0.8954 (multiplicity 2)  3 Mn 1.93-1.95
F  0.2074  0.9618  0.2464 (multiplicity 2)  3 Mn 2.02-2.10

Properties
Density = 4.70 g/cm³
Energy = -125.42 eV/cell

---

3.
The following is a PBE+U calculation of crystalline Mn6O7F5 at its relaxed geometry, from Materials Project.

Cell lengths 4.7461, 9.1350, 4.7646 Å; angles 90.00, 95.56, 90.00 degrees
With the nearest neighbours (Å) after each atom.
Space group Pm (No. 6)
Asymmetric unit:
Mn  0.0000  0.0000  0.0000 (multiplicity 1)  4 O 1.97, 1 F 2.16
Mn  0.0212  0.3251  0.9719 (multiplicity 2)  3 O 1.91-1.97, 1 F 2.08
Mn  0.4932  0.1752  0.5054 (multiplicity 2)  3 O 1.92-1.96, 2 F 2.05-2.08
Mn  0.5262  0.5000  0.5266 (multiplicity 1)  3 O 1.85-1.87, 3 F 1.99-2.05
O  0.2016  0.1681  0.1857 (multiplicity 2)  3 Mn 1.91-1.97
O  0.3370  0.3434  0.6775 (multiplicity 2)  2 Mn 1.87-1.92
O  0.8119  0.1661  0.7956 (multiplicity 2)  3 Mn 1.91-1.97
O  0.8328  0.5000  0.7984 (multiplicity 1)  3 Mn 1.85-1.97
F  0.2217  0.5000  0.1899 (multiplicity 1)  3 Mn 2.05-2.08
F  0.3055  0.0000  0.6935 (multiplicity 1)  3 Mn 2.08-2.16
F  0.6749  0.0000  0.3236 (multiplicity 1)  3 Mn 2.05-2.28
F  0.7109  0.3497  0.3031 (multiplicity 2)  2 Mn 1.99-2.17

Properties
Density = 4.33 g/cm³
Energy = -122.33 eV/cell

---

4.
The following is a PBE+U calculation of crystalline Mn6O7F5 at its relaxed geometry, from Materials Project.

Cell lengths 4.6368, 5.6457, 15.3430 Å; angles 89.93, 89.51, 88.61 degrees
With the nearest neighbours (Å) after each atom.
Space group P1 (No. 1)
Asymmetric unit:
Mn  0.0000  0.0000  0.0000 (multiplicity 1)  4 O 1.89-1.95, 2 F 2.03-2.08
Mn  0.0002  0.2867  0.1683 (multiplicity 1)  3 O 1.91-2.03, 2 F 2.01-2.07
Mn  0.0043  0.2930  0.4962 (multiplicity 1)  4 O 1.91-1.96, 1 F 2.04
Mn  0.4297  0.4940  0.0071 (multiplicity 1)  3 O 1.91-2.05, 1 F 2.02
Mn  0.4390  0.7979  0.5084 (multiplicity 1)  3 O 1.89-1.94, 2 F 2.00-2.09
Mn  0.4682  0.4711  0.6704 (multiplicity 1)  3 O 2.02-2.07, 3 F 2.14-2.20
Mn  0.4744  0.8153  0.1756 (multiplicity 1)  4 O 1.96-2.08, 1 F 2.13
Mn  0.4752  0.8214  0.8406 (multiplicity 1)  3 O 1.99-2.03, 3 F 2.12-2.20
Mn  0.4942  0.4941  0.3437 (multiplicity 1)  3 O 1.96-1.99, 3 F 2.04-2.13
Mn  0.9696  0.2667  0.8364 (multiplicity 1)  4 O 1.89-1.94, 2 F 2.04
Mn  0.9900  0.9918  0.3353 (multiplicity 1)  4 O 1.97-2.02, 2 F 2.11-2.12
Mn  0.9994  0.0083  0.6696 (multiplicity 1)  4 O 1.91-1.97, 2 F 2.04-2.11
O  0.1918  0.2504  0.9425 (multiplicity 1)  3 Mn 1.90-2.05
O  0.2008  0.2483  0.6081 (multiplicity 1)  3 Mn 1.91-2.03
O  0.2082  0.0396  0.7766 (multiplicity 1)  3 Mn 1.90-1.99
O  0.2089  0.0277  0.4456 (multiplicity 1)  3 Mn 1.91-1.99
O  0.2090  0.0454  0.1052 (multiplicity 1)  3 Mn 1.91-2.08
O  0.2499  0.7599  0.6168 (multiplicity 1)  3 Mn 1.89-2.07
O  0.2511  0.7648  0.9523 (multiplicity 1)  3 Mn 1.89-2.03
O  0.2618  0.5327  0.4512 (multiplicity 1)  3 Mn 1.94-1.97
O  0.2617  0.5385  0.1200 (multiplicity 1)  3 Mn 1.91-2.06
O  0.2736  0.7560  0.2863 (multiplicity 1)  3 Mn 1.96-1.99
O  0.7569  0.2481  0.7282 (multiplicity 1)  3 Mn 1.94-2.02
O  0.7696  0.0255  0.8949 (multiplicity 1)  3 Mn 1.89-2.00
O  0.7721  0.0310  0.2260 (multiplicity 1)  3 Mn 1.97-2.02
O  0.7743  0.2667  0.3924 (multiplicity 1)  3 Mn 1.93-2.02
F  0.2292  0.5255  0.7889 (multiplicity 1)  3 Mn 2.04-2.20
F  0.2530  0.2543  0.2787 (multiplicity 1)  3 Mn 2.04-2.12
F  0.7019  0.5138  0.8933 (multiplicity 1)  3 Mn 2.04-2.17
F  0.7109  0.7745  0.4068 (multiplicity 1)  3 Mn 2.00-2.13
F  0.7244  0.7569  0.7260 (multiplicity 1)  3 Mn 2.11-2.20
F  0.7292  0.2625  0.0534 (multiplicity 1)  3 Mn 2.02-2.18
F  0.7288  0.5286  0.5561 (multiplicity 1)  3 Mn 2.04-2.15
F  0.7300  0.7730  0.0601 (multiplicity 1)  2 Mn 2.03-2.13
F  0.7393  0.0236  0.5630 (multiplicity 1)  3 Mn 2.04-2.22
F  0.7445  0.5238  0.2312 (multiplicity 1)  3 Mn 2.01-2.22

Properties
Density = 4.44 g/cm³
Energy = -243.67 eV/cell

---

5.
The following is a PBE+U calculation of crystalline Mn12O5F19 at its relaxed geometry, from Materials Project.

Cell lengths 4.8099, 5.8123, 16.1092 Å; angles 89.59, 89.99, 87.73 degrees
With the nearest neighbours (Å) after each atom.
Space group P1 (No. 1)
Asymmetric unit:
Mn  0.0000  0.0000  0.0000 (multiplicity 1)  1 O 1.88, 3 F 2.05-2.10
Mn  0.0011  0.3147  0.1569 (multiplicity 1)  5 F 2.07-2.22, 1 O 2.08
Mn  0.0043  0.9733  0.6758 (multiplicity 1)  2 O 1.95-1.96, 3 F 2.10-2.15
Mn  0.0204  0.9916  0.3297 (multiplicity 1)  2 O 1.98-2.01, 4 F 2.05-2.17
Mn  0.0236  0.2951  0.8302 (multiplicity 1)  1 O 2.04, 5 F 2.06-2.19
Mn  0.4939  0.8098  0.1757 (multiplicity 1)  1 O 2.05, 5 F 2.06-2.26
Mn  0.5097  0.4972  0.6655 (multiplicity 1)  5 F 2.04-2.18, 1 O 2.11
Mn  0.5103  0.8180  0.8208 (multiplicity 1)  2 O 1.92-1.95, 1 F 2.13
Mn  0.5162  0.4855  0.3338 (multiplicity 1)  2 O 1.99-2.02, 4 F 2.03-2.22
Mn  0.5294  0.8181  0.4983 (multiplicity 1)  6 F 2.06-2.24
Mn  0.5327  0.4838  0.9991 (multiplicity 1)  1 O 1.98, 4 F 2.11-2.17
Mn  0.9993  0.3043  0.4911 (multiplicity 1)  5 F 2.05-2.24, 1 O 2.09
O  0.2256  0.0212  0.7752 (multiplicity 1)  3 Mn 1.92-2.04
O  0.2925  0.7571  0.2861 (multiplicity 1)  3 Mn 1.98-2.05
O  0.7245  0.7691  0.7195 (multiplicity 1)  3 Mn 1.95-2.11
O  0.7905  0.2514  0.3794 (multiplicity 1)  3 Mn 1.99-2.09
O  0.7934  0.2474  0.0471 (multiplicity 1)  3 Mn 1.88-2.08
F  0.2355  0.2514  0.6098 (multiplicity 1)  3 Mn 2.18-2.26
F  0.2413  0.0305  0.4381 (multiplicity 1)  3 Mn 2.06-2.12
F  0.2479  0.0274  0.1029 (multiplicity 1)  3 Mn 2.05-2.19
F  0.2516  0.2604  0.9415 (multiplicity 1)  3 Mn 2.11-2.18
F  0.2584  0.2537  0.2683 (multiplicity 1)  3 Mn 2.15-2.20
F  0.2675  0.7559  0.6029 (multiplicity 1)  3 Mn 2.11-2.14
F  0.2766  0.5306  0.7757 (multiplicity 1)  3 Mn 2.06-2.18
F  0.2835  0.7713  0.9410 (multiplicity 1)  3 Mn 2.10-2.24
F  0.2960  0.5381  0.1080 (multiplicity 1)  3 Mn 2.11-2.18
F  0.3103  0.5218  0.4434 (multiplicity 1)  3 Mn 2.03-2.24
F  0.7384  0.5276  0.2265 (multiplicity 1)  3 Mn 2.05-2.14
F  0.7419  0.5494  0.8829 (multiplicity 1)  3 Mn 2.13-2.16
F  0.7477  0.5339  0.5557 (multiplicity 1)  3 Mn 2.05-2.13
F  0.7522  0.7546  0.0598 (multiplicity 1)  3 Mn 2.12-2.26
F  0.7709  0.2654  0.7251 (multiplicity 1)  3 Mn 2.04-2.15
F  0.7724  0.7516  0.3904 (multiplicity 1)  3 Mn 2.11-2.22
F  0.7767  0.0339  0.8913 (multiplicity 1)  3 Mn 2.06-2.19
F  0.7943  0.0332  0.5632 (multiplicity 1)  3 Mn 2.10-2.21
F  0.8050  0.0227  0.2202 (multiplicity 1)  3 Mn 2.05-2.22

Properties
Density = 4.06 g/cm³
Energy = -234.39 eV/cell

---

6.
The following is a PBE+U calculation of crystalline Mn6OF11 at its relaxed geometry, from Materials Project.

Cell lengths 4.9515, 5.9177, 16.1846 Å; angles 90.00, 90.11, 90.00 degrees
With the nearest neighbours (Å) after each atom.
Space group P2 (No. 3)
Asymmetric unit:
Mn  0.0000  0.0000  0.0000 (multiplicity 1)  2 O 1.94, 4 F 2.09-2.13
Mn  0.0000  0.3213  0.5000 (multiplicity 1)  6 F 2.12-2.21
Mn  0.0010  0.9786  0.3319 (multiplicity 2)  6 F 2.10-2.20
Mn  0.0059  0.2941  0.8378 (multiplicity 2)  1 O 2.02, 5 F 2.10-2.19
Mn  0.4714  0.8354  0.8418 (multiplicity 2)  1 O 2.03, 4 F 2.13-2.17
Mn  0.4910  0.4814  0.3270 (multiplicity 2)  6 F 2.11-2.19
Mn  0.5000  0.4906  0.0000 (multiplicity 1)  6 F 2.08-2.18
Mn  0.5000  0.8147  0.5000 (multiplicity 1)  6 F 2.12-2.20
O  0.1934  0.0383  0.8970 (multiplicity 2)  3 Mn 1.94-2.03
F  0.2258  0.2547  0.7266 (multiplicity 2)  3 Mn 2.12-2.20
F  0.2284  0.0420  0.5576 (multiplicity 2)  3 Mn 2.12-2.21
F  0.2308  0.2550  0.3890 (multiplicity 2)  3 Mn 2.11-2.19
F  0.2352  0.2629  0.0547 (multiplicity 2)  3 Mn 2.08-2.13
F  0.2462  0.0401  0.2229 (multiplicity 2)  3 Mn 2.13-2.19
F  0.2577  0.5319  0.2144 (multiplicity 2)  2 Mn 2.10-2.18
F  0.2662  0.7501  0.3891 (multiplicity 2)  3 Mn 2.10-2.19
F  0.2717  0.5357  0.8890 (multiplicity 2)  3 Mn 2.11-2.17
F  0.2718  0.7707  0.0522 (multiplicity 2)  3 Mn 2.09-2.18
F  0.2732  0.5422  0.5603 (multiplicity 2)  3 Mn 2.12-2.20
F  0.2795  0.7593  0.7266 (multiplicity 2)  3 Mn 2.12-2.18

Properties
Density = 3.88 g/cm³
Energy = -232.43 eV/cell